No. 1
VASP calculation (PBE-GGA) on a geometry-optimized Eu4Sb2O structure.

## Properties
raw total energy = -9.34 eV per atom

Cell: 9.1185 9.1185 9.1185 Å, 149.07 149.07 44.31°
With the nearest neighbours (Å) after each atom.
Fractional positions:
Eu1 0.0000 0.5000 0.5000  2 O 2.43
Eu2 0.5000 0.0000 0.5000  2 O 2.43
Eu3 0.8317 0.8317 0.0000  1 O 2.84
Eu4 0.1683 0.1683 0.0000  1 O 2.84
Sb1 0.6376 0.6376 0.0000  9 Eu 3.28-3.48
Sb2 0.3624 0.3624 0.0000  9 Eu 3.28-3.48
O1 0.0000 0.0000 0.0000  4 Eu 2.43


No. 2
VASP calculation (PBE-GGA) on a geometry-optimized EuSbO3 structure.

## Properties
size of the total moment = 6.847 μB per cell
raw total energy = -7.75 eV per atom

Cell: 4.2187 4.2187 4.2187 Å, 90.00 90.00 90.00°
With the nearest neighbours (Å) after each atom.
Fractional positions:
Eu1 0.0000 0.0000 0.0000  12 O 2.98
Sb1 0.5000 0.5000 0.5000  6 O 2.11
O1 0.5000 0.5000 0.0000  2 Sb 2.11
O2 0.5000 0.0000 0.5000  2 Sb 2.11
O3 0.0000 0.5000 0.5000  2 Sb 2.11


No. 3
VASP calculation (PBE-GGA) on a geometry-optimized Eu3SbO7 structure.

## Properties
raw total energy = -8.76 eV per atom

Cell: 6.6141 6.6141 7.6990 Å, 90.00 90.00 110.01°
With the nearest neighbours (Å) after each atom.
Fractional positions:
Eu1 0.5000 0.5000 0.5000  4 O 2.38-2.42
Eu2 0.5000 0.5000 0.0000  4 O 2.38-2.42
Eu3 0.5281 0.9981 0.7500  6 O 2.28-2.48
Eu4 0.9981 0.5281 0.2500  6 O 2.28-2.48
Eu5 0.4719 0.0019 0.2500  6 O 2.28-2.48
Eu6 0.0019 0.4719 0.7500  6 O 2.28-2.48
Sb1 0.0000 0.0000 0.5000  6 O 2.00-2.04
Sb2 0.0000 0.0000 0.0000  6 O 2.00-2.04
O1 0.6830 0.9304 0.4715  1 Sb 2.00
O2 0.9304 0.6830 0.5285  1 Sb 2.00
O3 0.6830 0.9304 0.0285  1 Sb 2.00
O4 0.9304 0.6830 0.9715  1 Sb 2.00
O5 0.3170 0.0696 0.5285  1 Sb 2.00
O6 0.0696 0.3170 0.4715  1 Sb 2.00
O7 0.3170 0.0696 0.9715  1 Sb 2.00
O8 0.0696 0.3170 0.0285  1 Sb 2.00
O9 0.9367 0.0633 0.7500  2 Sb 2.04
O10 0.0633 0.9367 0.2500  2 Sb 2.04
O11 0.3711 0.6289 0.7500  4 Eu 2.30-2.38
O12 0.6289 0.3711 0.2500  4 Eu 2.30-2.38
O13 0.6360 0.3640 0.7500  4 Eu 2.28-2.42
O14 0.3640 0.6360 0.2500  4 Eu 2.28-2.42